Arrangement A

Rb3Ge: optimized geometry, PBE.

M_tot ... 2.00 μB per cell

```
data_Rb3Ge
_chemical_formula_sum 'Rb6 Ge2'
_space_group_name_H-M_alt 'I 4/m m m'
_space_group_IT_number 139
_space_group_name_Hall '-I 4 2'
_cell_length_a 6.256
_cell_length_b 6.256
_cell_length_c 9.660
_cell_angle_alpha 90.00
_cell_angle_beta 90.00
_cell_angle_gamma 90.00
loop_
_atom_site_label
_atom_site_fract_x
_atom_site_fract_y
_atom_site_fract_z
_atom_site_occupancy
Rb1 0.000 0.000 0.000 1
Rb2 0.000 0.500 0.250 1
Ge1 0.000 0.000 0.500 1
```


Arrangement B

Rb3Ge: optimized geometry, PBE.

M_tot ... 2.04 μB per cell

```
data_Rb3Ge
_chemical_formula_sum 'Rb6 Ge2'
_space_group_name_H-M_alt 'P 63/m m c'
_space_group_IT_number 194
_space_group_name_Hall '-P 6c 2c'
_cell_length_a 8.7279
_cell_length_b 8.7279
_cell_length_c 6.3836
_cell_angle_alpha 90.00
_cell_angle_beta 90.00
_cell_angle_gamma 120.00
loop_
_atom_site_label
_atom_site_fract_x
_atom_site_fract_y
_atom_site_fract_z
_atom_site_occupancy
Rb1 0.1856 0.3712 0.2500 1
Ge1 0.3333 0.6667 0.7500 1
```


Stability verdict: arrangement A, ahead by 11 meV/atom


Arrangement A

RbSmGeSe4: optimized geometry, PBE.

M_tot ... 0.00 μB per cell

```
data_RbSmGeSe4
_chemical_formula_sum 'Rb4 Sm4 Ge4 Se16'
_space_group_name_H-M_alt 'P 1'
_space_group_IT_number 1
_space_group_name_Hall 'P 1'
_cell_length_a 6.856
_cell_length_b 7.122
_cell_length_c 18.125
_cell_angle_alpha 90.00
_cell_angle_beta 90.00
_cell_angle_gamma 90.00
loop_
_atom_site_label
_atom_site_fract_x
_atom_site_fract_y
_atom_site_fract_z
_atom_site_occupancy
Rb1 0.000 0.000 0.000 1
Rb2 0.010 0.496 0.436 1
Rb3 0.500 0.495 0.934 1
Rb4 0.521 0.991 0.498 1
Sm1 0.217 0.522 0.692 1
Sm2 0.296 0.470 0.193 1
Sm3 0.706 0.980 0.242 1
Sm4 0.793 0.015 0.743 1
Ge1 0.220 0.012 0.305 1
Ge2 0.291 0.979 0.802 1
Ge3 0.711 0.478 0.631 1
Ge4 0.800 0.510 0.132 1
Se1 0.054 0.738 0.824 1
Se2 0.070 0.504 0.051 1
Se3 0.094 0.264 0.818 1
Se4 0.111 0.080 0.181 1
Se5 0.402 0.737 0.319 1
Se6 0.411 0.912 0.683 1
Se7 0.444 0.491 0.552 1
Se8 0.456 0.253 0.324 1
Se9 0.557 0.760 0.109 1
Se10 0.564 0.981 0.880 1
Se11 0.598 0.231 0.118 1
Se12 0.602 0.409 0.754 1
Se13 0.906 0.579 0.255 1
Se14 0.913 0.764 0.615 1
Se15 0.943 0.004 0.382 1
Se16 0.947 0.238 0.611 1
```


Arrangement B

RbSmGeSe4: optimized geometry, PBE.

M_tot ... 0.00 μB per cell

```
data_RbSmGeSe4
_chemical_formula_sum 'Rb4 Sm4 Ge4 Se16'
_space_group_name_H-M_alt 'P 21 21 21'
_space_group_IT_number 19
_space_group_name_Hall 'P 2ac 2ab'
_cell_length_a 6.856
_cell_length_b 7.122
_cell_length_c 18.125
_cell_angle_alpha 90.00
_cell_angle_beta 90.00
_cell_angle_gamma 90.00
loop_
_atom_site_label
_atom_site_fract_x
_atom_site_fract_y
_atom_site_fract_z
_atom_site_occupancy
Rb1 0.010 0.005 0.469 1
Sm1 0.207 0.021 0.726 1
Ge1 0.210 0.514 0.336 1
Se1 0.054 0.245 0.858 1
Se2 0.063 0.013 0.085 1
Se3 0.096 0.763 0.851 1
Se4 0.100 0.583 0.215 1
```


Stability verdict: arrangement B, ahead by 8 meV/atom


Arrangement A

Re3Ge: optimized geometry, PBE.

M_tot ... 0.03 μB per cell

```
data_Re3Ge
_chemical_formula_sum 'Re6 Ge2'
_space_group_name_H-M_alt 'I 4/m m m'
_space_group_IT_number 139
_space_group_name_Hall '-I 4 2'
_cell_length_a 3.804
_cell_length_b 3.804
_cell_length_c 8.286
_cell_angle_alpha 90.00
_cell_angle_beta 90.00
_cell_angle_gamma 90.00
loop_
_atom_site_label
_atom_site_fract_x
_atom_site_fract_y
_atom_site_fract_z
_atom_site_occupancy
Re1 0.000 0.000 0.000 1
Re2 0.000 0.500 0.250 1
Ge1 0.000 0.000 0.500 1
```


Arrangement B

Re3Ge: optimized geometry, PBE.

M_tot ... 0.01 μB per cell

```
data_Re3Ge
_chemical_formula_sum 'Re6 Ge2'
_space_group_name_H-M_alt 'P 63/m m c'
_space_group_IT_number 194
_space_group_name_Hall '-P 6c 2c'
_cell_length_a 5.5557
_cell_length_b 5.5557
_cell_length_c 4.4665
_cell_angle_alpha 90.00
_cell_angle_beta 90.00
_cell_angle_gamma 120.00
loop_
_atom_site_label
_atom_site_fract_x
_atom_site_fract_y
_atom_site_fract_z
_atom_site_occupancy
Re1 0.1694 0.3388 0.2500 1
Ge1 0.3333 0.6667 0.7500 1
```


Stability verdict: arrangement B, ahead by 9 meV/atom


Arrangement A

UGeS: optimized geometry, PBE.

M_tot ... 1.47 μB per cell

```
data_UGeS
_chemical_formula_sum 'U2 Ge2 S2'
_space_group_name_H-M_alt 'P 4/n m m'
_space_group_IT_number 129
_cell_length_a 4.149
_cell_length_b 4.149
_cell_length_c 7.239
_cell_angle_alpha 90.00
_cell_angle_beta 90.00
_cell_angle_gamma 90.00
loop_
_space_group_symop_operation_xyz
'x,y,z'
'-x,-y,-z'
'-y+1/2,x,z'
'y+1/2,-x,-z'
'-x+1/2,-y+1/2,z'
'x+1/2,y+1/2,-z'
'y,-x+1/2,z'
'-y,x+1/2,-z'
'x+1/2,-y,-z'
'-x+1/2,y,z'
'-y,-x,-z'
'y,x,z'
'-x,y+1/2,-z'
'x,-y+1/2,z'
'y+1/2,x+1/2,-z'
'-y+1/2,-x+1/2,z'
loop_
_atom_site_label
_atom_site_fract_x
_atom_site_fract_y
_atom_site_fract_z
_atom_site_occupancy
U1 0.250 0.250 0.240 1
Ge1 0.250 0.250 0.633 1
S1 0.250 0.750 0.000 1
```


Arrangement B

UGeS: optimized geometry, PBE.

```
data_UGeS
_chemical_formula_sum 'U2 Ge2 S2'
_space_group_name_H-M_alt 'P 4/n m m'
_space_group_IT_number 129
_cell_length_a 3.815
_cell_length_b 3.815
_cell_length_c 8.167
_cell_angle_alpha 90.00
_cell_angle_beta 90.00
_cell_angle_gamma 90.00
loop_
_space_group_symop_operation_xyz
'x,y,z'
'-x,-y,-z'
'-y+1/2,x,z'
'y+1/2,-x,-z'
'-x+1/2,-y+1/2,z'
'x+1/2,y+1/2,-z'
'y,-x+1/2,z'
'-y,x+1/2,-z'
'x+1/2,-y,-z'
'-x+1/2,y,z'
'-y,-x,-z'
'y,x,z'
'-x,y+1/2,-z'
'x,-y+1/2,z'
'y+1/2,x+1/2,-z'
'-y+1/2,-x+1/2,z'
loop_
_atom_site_label
_atom_site_fract_x
_atom_site_fract_y
_atom_site_fract_z
_atom_site_occupancy
U1 0.250 0.250 0.199 1
Ge1 0.250 0.750 0.500 1
S1 0.250 0.250 0.859 1
```


Stability verdict: arrangement B, ahead by 494 meV/atom


Arrangement A

V4GeS8: optimized geometry, PBE.

M_tot ... 7.15 μB per cell

```
data_V4GeS8
_chemical_formula_sum 'V8 Ge2 S16'
_space_group_name_H-M_alt 'I m m 2'
_space_group_IT_number 44
_space_group_name_Hall 'I 2 -2'
_cell_length_a 6.812
_cell_length_b 6.946
_cell_length_c 9.634
_cell_angle_alpha 90.00
_cell_angle_beta 90.00
_cell_angle_gamma 90.00
loop_
_atom_site_label
_atom_site_fract_x
_atom_site_fract_y
_atom_site_fract_z
_atom_site_occupancy
V1 0.000 0.209 0.000 1
V2 0.194 0.000 0.791 1
Ge1 0.000 0.000 0.391 1
S1 0.000 0.261 0.766 1
S2 0.000 0.275 0.260 1
S3 0.228 0.500 0.031 1
S4 0.246 0.500 0.525 1
```


Arrangement B

V4GeS8: optimized geometry, PBE.

```
data_V4GeS8
_chemical_formula_sum 'V16 Ge4 S32'
_space_group_name_H-M_alt 'F -4 3 m'
_space_group_IT_number 216
_space_group_name_Hall 'F -4 2 3'
_cell_length_a 9.698
_cell_length_b 9.698
_cell_length_c 9.698
_cell_angle_alpha 90.00
_cell_angle_beta 90.00
_cell_angle_gamma 90.00
loop_
_atom_site_label
_atom_site_fract_x
_atom_site_fract_y
_atom_site_fract_z
_atom_site_occupancy
V1 0.104 0.104 0.396 1
Ge1 0.000 0.000 0.000 1
S1 0.130 0.130 0.630 1
S2 0.137 0.137 0.137 1
```


Stability verdict: arrangement B, ahead by 8 meV/atom


Arrangement A

ThSiGe: optimized geometry, PBE.

M_tot ... 0.01 μB per cell

```
data_ThSiGe
_chemical_formula_sum 'Th4 Si4 Ge4'
_space_group_name_H-M_alt 'I 41 m d'
_space_group_IT_number 109
_space_group_name_Hall 'I 4bw -2'
_cell_length_a 4.083
_cell_length_b 4.083
_cell_length_c 15.706
_cell_angle_alpha 90.00
_cell_angle_beta 90.00
_cell_angle_gamma 90.00
loop_
_atom_site_label
_atom_site_fract_x
_atom_site_fract_y
_atom_site_fract_z
_atom_site_occupancy
Th1 0.000 0.000 0.000 1
Si1 0.000 0.000 0.418 1
Ge1 0.000 0.000 0.582 1
```


Arrangement B

ThSiGe: optimized geometry, PBE.

M_tot ... 0.00 μB per cell

```
data_ThSiGe
_chemical_formula_sum 'Th4 Si4 Ge4'
_space_group_name_H-M_alt 'I m m a'
_space_group_IT_number 74
_space_group_name_Hall '-I 2b 2'
_cell_length_a 4.059
_cell_length_b 4.115
_cell_length_c 15.802
_cell_angle_alpha 90.00
_cell_angle_beta 90.00
_cell_angle_gamma 90.00
loop_
_atom_site_label
_atom_site_fract_x
_atom_site_fract_y
_atom_site_fract_z
_atom_site_occupancy
Th1 0.000 0.250 0.118 1
Si1 0.000 0.250 0.537 1
Ge1 0.000 0.250 0.698 1
```


Stability verdict: arrangement B, ahead by 29 meV/atom


Arrangement A

V10Si3Ge3: optimized geometry, PBE.

```
data_V10Si3Ge3
_chemical_formula_sum 'V40 Si12 Ge12'
_space_group_name_H-M_alt 'F m m 2'
_space_group_IT_number 42
_space_group_name_Hall 'F 2 -2'
_cell_length_a 4.810
_cell_length_b 13.395
_cell_length_c 13.454
_cell_angle_alpha 90.00
_cell_angle_beta 90.00
_cell_angle_gamma 90.00
loop_
_atom_site_label
_atom_site_fract_x
_atom_site_fract_y
_atom_site_fract_z
_atom_site_occupancy
V1 0.000 0.098 0.000 1
V2 0.000 0.098 0.343 1
V3 0.000 0.173 0.573 1
V4 0.000 0.175 0.767 1
V5 0.248 0.000 0.168 1
Si1 0.000 0.000 0.505 1
Si2 0.000 0.166 0.171 1
Ge1 0.000 0.000 0.836 1
Ge2 0.250 0.250 0.420 1
```


Arrangement B

V10Si3Ge3: optimized geometry, PBE.

M_tot ... 0.31 μB per cell

```
data_V10Si3Ge3
_chemical_formula_sum 'V10 Si3 Ge3'
_space_group_name_H-M_alt 'P -6 2 m'
_space_group_IT_number 189
_space_group_name_Hall 'P -6 -2'
_cell_length_a 7.1983
_cell_length_b 7.1983
_cell_length_c 4.8955
_cell_angle_alpha 90.00
_cell_angle_beta 90.00
_cell_angle_gamma 120.00
loop_
_atom_site_label
_atom_site_fract_x
_atom_site_fract_y
_atom_site_fract_z
_atom_site_occupancy
V1 0.0000 0.2493 0.0000 1
V2 0.0000 0.7542 0.5000 1
V3 0.3333 0.6667 0.2551 1
Si1 0.0000 0.3906 0.5000 1
Ge1 0.0000 0.6071 0.0000 1
```


Stability verdict: arrangement A, ahead by 44 meV/atom


Arrangement A

Sn2GeTe3: optimized geometry, PBE.

M_tot ... 0.00 μB per cell

```
data_Sn2GeTe3
_chemical_formula_sum 'Sn8 Ge4 Te12'
_space_group_name_H-M_alt 'P 1 m 1'
_space_group_IT_number 6
_space_group_name_Hall 'P -2y'
_cell_length_a 12.289
_cell_length_b 4.385
_cell_length_c 14.334
_cell_angle_alpha 90.00
_cell_angle_beta 90.26
_cell_angle_gamma 90.00
loop_
_atom_site_label
_atom_site_fract_x
_atom_site_fract_y
_atom_site_fract_z
_atom_site_occupancy
Sn1 0.000 0.000 0.000 1
Sn2 0.000 0.000 0.334 1
Sn3 0.001 0.000 0.668 1
Sn4 0.234 0.500 0.065 1
Sn5 0.234 0.500 0.400 1
Sn6 0.501 0.000 0.567 1
Sn7 0.503 0.000 0.233 1
Sn8 0.503 0.000 0.898 1
Ge1 0.246 0.500 0.736 1
Ge2 0.744 0.500 0.161 1
Ge3 0.744 0.500 0.494 1
Ge4 0.744 0.500 0.828 1
Te1 0.256 0.000 0.542 1
Te2 0.257 0.000 0.205 1
Te3 0.257 0.000 0.863 1
Te4 0.470 0.500 0.708 1
Te5 0.475 0.500 0.039 1
Te6 0.476 0.500 0.373 1
Te7 0.756 0.000 0.702 1
Te8 0.757 0.000 0.036 1
Te9 0.757 0.000 0.369 1
Te10 0.967 0.500 0.194 1
Te11 0.967 0.500 0.528 1
Te12 0.967 0.500 0.860 1
```


Arrangement B

Sn2GeTe3: optimized geometry, PBE.

M_tot ... 0.00 μB per cell

```
data_Sn2GeTe3
_chemical_formula_sum 'Sn2 Ge1 Te3'
_space_group_name_H-M_alt 'P -3 m 1'
_space_group_IT_number 164
_space_group_name_Hall '-P 3 2"'
_cell_length_a 4.4263
_cell_length_b 4.4263
_cell_length_c 10.9835
_cell_angle_alpha 90.00
_cell_angle_beta 90.00
_cell_angle_gamma 120.00
loop_
_atom_site_label
_atom_site_fract_x
_atom_site_fract_y
_atom_site_fract_z
_atom_site_occupancy
Sn1 0.3333 0.6667 0.3271 1
Ge1 0.0000 0.0000 0.0000 1
Te1 0.0000 0.0000 0.5000 1
Te2 0.3333 0.6667 0.8481 1
```


Stability verdict: arrangement B, ahead by 23 meV/atom


Arrangement A

U2Ta3Ge4: optimized geometry, PBE.

M_tot ... 18.72 μB per cell

```
data_U2Ta3Ge4
_chemical_formula_sum 'U8 Ta12 Ge16'
_space_group_name_H-M_alt 'P n m a'
_space_group_IT_number 62
_space_group_name_Hall '-P 2ac 2n'
_cell_length_a 7.033
_cell_length_b 13.395
_cell_length_c 7.133
_cell_angle_alpha 90.00
_cell_angle_beta 90.00
_cell_angle_gamma 90.00
loop_
_atom_site_label
_atom_site_fract_x
_atom_site_fract_y
_atom_site_fract_z
_atom_site_occupancy
U1 0.008 0.091 0.170 1
Ta1 0.160 0.625 0.335 1
Ta2 0.168 0.250 0.503 1
Ge1 0.040 0.250 0.879 1
Ge2 0.175 0.043 0.543 1
Ge3 0.192 0.750 0.645 1
```


Arrangement B

U2Ta3Ge4: optimized geometry, PBE.

M_tot ... 0.69 μB per cell

```
data_U2Ta3Ge4
_chemical_formula_sum 'U8 Ta12 Ge16'
_space_group_name_H-M_alt 'P n m a'
_space_group_IT_number 62
_space_group_name_Hall '-P 2ac 2n'
_cell_length_a 7.034
_cell_length_b 13.752
_cell_length_c 7.213
_cell_angle_alpha 90.00
_cell_angle_beta 90.00
_cell_angle_gamma 90.00
loop_
_atom_site_label
_atom_site_fract_x
_atom_site_fract_y
_atom_site_fract_z
_atom_site_occupancy
U1 0.137 0.124 0.158 1
Ta1 0.037 0.594 0.319 1
Ta2 0.178 0.750 0.996 1
Ge1 0.047 0.750 0.576 1
Ge2 0.174 0.250 0.832 1
Ge3 0.219 0.549 0.987 1
```


Stability verdict: arrangement A, ahead by 376 meV/atom